Entry 1:
P | meta-GGA r2SCAN | relaxed

Properties
Energy relative to the lowest polymorph listed for this composition = 155 meV per atom
Calculated density = 1.8 g cm⁻³
DFT total energy = -8.85 eV/atom
Energy of formation = 0.2 eV/f.u.

abc: 5.581 6.460 6.460
angles: 83.28 89.82 89.82
Positions (direct):
P 0.747 0.774 0.520
P 0.253 0.480 0.226
P 0.253 0.226 0.480
P 0.749 0.843 0.843
P 0.572 0.285 0.285
P 0.251 0.157 0.157
P 0.428 0.715 0.715
P 0.747 0.520 0.774

---

Entry 2:
La3BeGaS7 | meta-GGA r2SCAN | relaxed

Properties
Calculated density = 4.3 g cm⁻³
DFT total energy = -15.40 eV/atom
Energy of formation = -23.5 eV/f.u.

abc: 9.893 9.893 6.514
angles: 90.00 90.00 120.00
Positions (direct):
La 0.813 0.622 0.724
Ga 0.667 0.333 0.146
La 0.191 0.813 0.224
S 0.118 0.884 0.815
Be 0.000 0.000 0.346
La 0.187 0.378 0.224
La 0.378 0.191 0.724
S 0.457 0.912 0.508
S 0.667 0.333 0.497
S 0.454 0.543 0.508
S 0.766 0.882 0.815
S 0.884 0.766 0.315
La 0.809 0.187 0.724
S 0.882 0.116 0.315
S 0.912 0.454 0.008
Be 0.000 0.000 0.846
S 0.333 0.667 0.997
La 0.622 0.809 0.224
S 0.234 0.118 0.315
S 0.543 0.088 0.008
S 0.116 0.234 0.815
S 0.546 0.457 0.008
S 0.088 0.546 0.508
Ga 0.333 0.667 0.646

---

Entry 3:
NdGa3Ni | meta-GGA r2SCAN | relaxed

Properties
Calculated density = 7.6 g cm⁻³
DFT total energy = -15.81 eV/atom
Energy of formation = -3.3 eV/f.u.

abc: 4.223 4.223 5.884
angles: 68.96 68.96 90.07
Positions (direct):
Nd 0.005 0.005 0.990
Ga 0.591 0.591 0.818
Ni 0.362 0.362 0.277
Ga 0.256 0.756 0.488
Ga 0.756 0.256 0.488

---

Entry 4:
Yb2CdHg | meta-GGA r2SCAN | relaxed

Properties
Calculated density = 11.4 g cm⁻³
DFT total energy = -36.10 eV/atom
Energy of formation = -1.9 eV/f.u.

abc: 5.143 5.143 5.143
angles: 60.00 60.00 60.00
Positions (direct):
Hg 0.000 0.000 0.000
Yb 0.750 0.750 0.750
Cd 0.500 0.500 0.500
Yb 0.250 0.250 0.250

---

Entry 5:
HfMgN2 | meta-GGA r2SCAN | relaxed

Properties
Calculated density = 8.6 g cm⁻³
DFT total energy = -18.65 eV/atom
Energy of formation = -7.0 eV/f.u.

abc: 4.407 4.407 5.528
angles: 113.50 113.50 90.00
Positions (direct):
Mg 0.625 0.875 0.250
N 0.886 0.136 0.771
Hf 0.125 0.375 0.250
N 0.364 0.614 0.729
N 0.636 0.386 0.271
Mg 0.375 0.125 0.750
Hf 0.875 0.625 0.750
N 0.114 0.864 0.229

---

Entry 6:
Ba2GdPaO6 | meta-GGA r2SCAN | relaxed

Properties
Calculated density = 7.2 g cm⁻³
DFT total energy = -24.47 eV/atom
Energy of formation = -35.6 eV/f.u.

abc: 6.274 6.274 6.274
angles: 60.00 60.00 60.00
Positions (direct):
O 0.756 0.244 0.244
Ba 0.250 0.250 0.250
O 0.756 0.244 0.756
O 0.244 0.244 0.756
Pa 0.000 0.000 0.000
O 0.244 0.756 0.244
Gd 0.500 0.500 0.500
O 0.756 0.756 0.244
Ba 0.750 0.750 0.750
O 0.244 0.756 0.756

---

Entry 7:
La3SnC | meta-GGA r2SCAN | relaxed

Properties
Calculated density = 6.4 g cm⁻³
DFT total energy = -25.41 eV/atom
Energy of formation = -3.1 eV/f.u.

abc: 5.220 5.220 5.220
angles: 90.00 90.00 90.00
Positions (direct):
Sn 0.500 0.500 0.500
La 0.000 0.500 0.000
La 0.500 0.000 0.000
La 0.000 0.000 0.500
C 0.000 0.000 0.000

---

Entry 8:
Ta4Ag2O11 | meta-GGA r2SCAN | relaxed

Properties
Calculated density = 9.0 g cm⁻³
DFT total energy = -20.41 eV/atom
Energy of formation = -44.2 eV/f.u.

abc: 12.852 12.852 12.852
angles: 27.99 27.99 27.99
Positions (direct):
Ag 0.671 0.671 0.671
O 0.745 0.226 0.436
O 0.093 0.093 0.093
O 0.750 0.501 0.999
Ta 0.000 0.000 0.000
O 0.564 0.255 0.774
O 0.593 0.593 0.593
O 0.064 0.274 0.755
O 0.274 0.755 0.064
O 0.436 0.745 0.226
O 0.499 0.001 0.250
Ta 0.250 0.886 0.614
O 0.774 0.564 0.255
Ta 0.614 0.250 0.886
Ta 0.750 0.114 0.386
O 0.226 0.436 0.745
O 0.001 0.250 0.499
O 0.936 0.726 0.245
Ta 0.386 0.750 0.114
O 0.907 0.907 0.907
O 0.407 0.407 0.407
Ta 0.114 0.386 0.750
Ag 0.171 0.171 0.171
O 0.726 0.245 0.936
Ag 0.829 0.829 0.829
Ta 0.886 0.614 0.250
O 0.501 0.999 0.750
O 0.245 0.936 0.726
O 0.755 0.064 0.274
O 0.255 0.774 0.564
Ag 0.329 0.329 0.329
Ta 0.500 0.500 0.500
O 0.250 0.499 0.001
O 0.999 0.750 0.501